No. 1
DFT (PBE) results for crystalline NdTm3 at its relaxed geometry.

a b c (Å): 7.199 7.199 5.679
angles (deg): 90.00 90.00 120.00
Atoms (fractional coordinates):
Tm (0.836, 0.164, 0.750)
Tm (0.164, 0.329, 0.250)
Tm (0.671, 0.836, 0.250)
Tm (0.836, 0.671, 0.750)
Tm (0.164, 0.836, 0.250)
Tm (0.329, 0.164, 0.750)
Nd (0.667, 0.333, 0.250)
Nd (0.333, 0.667, 0.750)

Summary:
ΔE to the lowest computed polymorph (meV per atom): 0
Energy of formation (eV per atom): 0.0151
E (eV/atom): -4.53
SG: No. 194

***

No. 2
DFT (PBE) results for crystalline NdTm at its relaxed geometry.

a b c (Å): 3.623 3.623 5.837
angles (deg): 90.00 90.00 120.00
Atoms (fractional coordinates):
Tm (0.333, 0.667, 0.000)
Nd (0.667, 0.333, 0.500)

Summary:
Energy of formation (eV per atom): 0.0357
E (eV/atom): -4.59
SG: No. 187

***

Among the records above, which one has the lowest energy of formation? NdTm3